Record 1
This record from the Materials Project database describes an optimized crystal structure of CaHf8N8O4. The functional is PBE-GGA.

Values from the calculation:
Calculated density: 8.937 g cm⁻³
Crystal system: triclinic
Energy of formation from the pure elements: -2080 meV per atom
Final energy: -209.09 eV/cell
Distance to the lowest polymorph of the same formula: 2.19 eV/f.u.

Cell: 5.8078 5.8740 11.0228 Å, 89.09 74.20 58.68°
Closest atoms and distances in Å follow each position.
Atoms (fractional coordinates):
1 Ca 0.5680 0.3372 0.3336  3 N 2.24-2.43, 1 O 2.25
2 Hf 0.8997 0.6649 0.3116  3 N 1.95-2.11, 1 O 1.99
3 Hf 0.2644 0.7807 0.7268  2 N 2.01-2.15, 1 O 2.11
4 Hf 0.4256 0.2608 0.0248  3 N 2.06-2.26, 1 O 2.12
5 Hf 0.6033 0.1590 0.7412  3 N 2.09-2.26, 1 O 2.11
6 Hf 0.1500 0.0493 0.4488  3 N 1.95-2.12, 1 O 1.98
7 Hf 0.0746 0.9010 0.0094  3 N 2.10-2.24, 1 O 2.13
8 Hf 0.7476 0.5801 0.0160  2 O 2.04-2.24, 2 N 2.12-2.18
9 Hf 0.9289 0.4844 0.7409  1 O 2.04, 2 N 2.10-2.16
10 N 0.1830 0.3242 0.3499  2 Hf 1.95-2.00
11 N 0.7054 0.2728 0.1017  3 Hf 2.06-2.12
12 N 0.3230 0.4377 0.6519  3 Hf 2.01-2.10
13 N 0.5259 0.7181 0.4021  2 Hf 1.95-1.98
14 N 0.4934 0.5097 0.8775  5 Hf 2.26-2.50
15 N 0.0135 0.6188 0.1102  4 Hf 2.11-2.18
16 N 0.9931 0.1246 0.6504  4 Hf 2.11-2.16
17 N 0.8534 0.8802 0.8761  4 Hf 2.24-2.45
18 O 0.3679 0.9399 0.0737  3 Hf 2.04-2.13
19 O 0.9133 0.9656 0.3820  2 Hf 1.98-1.99
20 O 0.1560 0.2419 0.8836  3 Hf 2.24-2.44
21 O 0.6288 0.8039 0.6818  3 Hf 2.04-2.11

Record 2
This record from the Materials Project database describes an optimized crystal structure of Ni4Ge. The functional is PBE-GGA.

Values from the calculation:
Calculated density: 8.748 g cm⁻³
Crystal system: trigonal
Energy of formation from the pure elements: 82 meV per atom
Final energy: -27.34 eV/cell

Cell: 9.8099 9.8099 9.8099 Å, 15.45 15.45 15.45°
Closest atoms and distances in Å follow each position.
Atoms (fractional coordinates):
1 Ni 0.6004 0.6004 0.6004  3 Ge 2.45, 9 Ni 2.48-2.64
2 Ni 0.1996 0.1996 0.1996  12 Ni 2.45-2.64
3 Ni 0.8004 0.8004 0.8004  12 Ni 2.45-2.64
4 Ni 0.3996 0.3996 0.3996  3 Ge 2.45, 9 Ni 2.48-2.64
5 Ge 0.0000 0.0000 0.0000  6 Ni 2.45, 6 Ge 2.64

Record 3
This record from the Materials Project database describes an optimized crystal structure of Li3MnAs2. The functional is PBE-GGA.

Values from the calculation:
Calculated density: 3.486 g cm⁻³
Crystal system: tetragonal
Energy of formation from the pure elements: -494 meV per atom
Final energy: -27.17 eV/cell

Cell: 4.2258 4.2258 6.0179 Å, 90.00 90.00 90.00°
Closest atoms and distances in Å follow each position.
Atoms (fractional coordinates):
1 Li 0.5000 0.5000 0.0000  4 As 2.66
2 Li 0.0000 0.0000 0.0000  4 As 2.66
3 Li 0.5000 0.5000 0.5000  4 As 2.53
4 Mn 0.0000 0.0000 0.5000  4 As 2.53
5 As 0.0000 0.5000 0.2679  6 Li 2.53-2.66, 2 Mn 2.53
6 As 0.5000 0.0000 0.7321  2 Mn 2.53, 6 Li 2.53-2.66

> Among the records above, which one has the lowest final energy?

CaHf8N8O4